1.
# LiFePCO7 | the Materials Project database | PBE+U | relaxed
data_LiFePCO7
_cell_length_a 8.2637
_cell_length_b 8.2851
_cell_length_c 8.4329
_cell_angle_alpha 93.50
_cell_angle_beta 93.23
_cell_angle_gamma 102.35
_symmetry_space_group_name_H-M 'P 1'
_symmetry_Int_Tables_number 1
loop_
_symmetry_equiv_pos_as_xyz
'x,y,z'
loop_
_atom_site_label
_atom_site_fract_x
_atom_site_fract_y
_atom_site_fract_z
Li1 0.0000 0.0000 0.0000
Li2 0.0236 0.5241 0.7856
Li3 0.3679 0.1683 0.1752
Li4 0.5312 0.0226 0.7796
Fe1 0.2368 0.7313 0.2270
Fe2 0.2859 0.2890 0.5597
Fe3 0.7420 0.2379 0.2302
Fe4 0.7873 0.7847 0.5534
P1 0.0010 0.5047 0.4717
P2 0.0256 0.0208 0.3142
P3 0.4997 0.0014 0.4687
P4 0.5173 0.5167 0.3161
C1 0.2429 0.2294 0.8466
C2 0.2909 0.7895 0.9391
C3 0.7404 0.7431 0.8476
C4 0.7824 0.2902 0.9400
O1 0.0713 0.5777 0.3206
O2 0.0837 0.8953 0.1974
O3 0.1279 0.4411 0.5803
O4 0.1502 0.1542 0.7212
O5 0.1712 0.6675 0.9667
O6 0.1819 0.1645 0.3616
O7 0.2185 0.1829 0.9847
O8 0.3329 0.8319 0.8044
O9 0.3498 0.8578 0.4149
O10 0.3573 0.3503 0.8079
O11 0.3702 0.8748 0.0673
O12 0.3880 0.5796 0.2123
O13 0.4432 0.1288 0.5836
O14 0.4454 0.4504 0.4718
O15 0.5608 0.3724 0.2120
O16 0.5635 0.0784 0.3144
O17 0.6320 0.9406 0.5720
O18 0.6523 0.6547 0.7293
O19 0.6649 0.1660 0.9694
O20 0.6709 0.6564 0.3670
O21 0.7110 0.7115 0.9896
O22 0.8235 0.3297 0.8043
O23 0.8526 0.3588 0.4171
O24 0.8592 0.8642 0.8144
O25 0.8643 0.3743 0.0668
O26 0.8979 0.0861 0.2063
O27 0.9429 0.6316 0.5856
O28 0.9531 0.9488 0.4634
# DFT total energy	-301.246	eV/cell
# spin magnetization	0.364	μB per atom

=====

2.
# LiFePCO7 | the Materials Project database | PBE+U | relaxed
data_LiFePCO7
_cell_length_a 5.1228
_cell_length_b 6.3147
_cell_length_c 8.6927
_cell_angle_alpha 85.33
_cell_angle_beta 88.47
_cell_angle_gamma 87.66
_symmetry_space_group_name_H-M 'P 1'
_symmetry_Int_Tables_number 1
loop_
_symmetry_equiv_pos_as_xyz
'x,y,z'
loop_
_atom_site_label
_atom_site_fract_x
_atom_site_fract_y
_atom_site_fract_z
Li1 0.0000 0.0000 0.0000
Li2 0.4790 0.5164 0.5466
Fe1 0.0747 0.2489 0.4347
Fe2 0.4885 0.7699 0.1417
P1 0.5972 0.2686 0.2073
P2 0.9820 0.7651 0.3626
C1 0.5634 0.7812 0.8347
C2 0.9748 0.2731 0.7203
O1 0.1193 0.5679 0.4461
O2 0.1234 0.8214 0.2025
O3 0.2062 0.2461 0.6570
O4 0.3525 0.8234 0.9140
O5 0.4362 0.2364 0.3600
O6 0.5007 0.4688 0.1085
O7 0.5538 0.7265 0.6988
O8 0.5884 0.0718 0.1122
O9 0.6915 0.7183 0.3322
O10 0.7800 0.7907 0.9046
O11 0.7859 0.2966 0.6236
O12 0.8888 0.2940 0.2473
O13 0.9486 0.2703 0.8645
O14 0.9985 0.9503 0.4649
# DFT total energy	-147.620	eV/cell
# spin magnetization	0.091	μB per atom

=====

3.
# LiFePCO7 | the Materials Project database | PBE+U | relaxed
data_LiFePCO7
_cell_length_a 5.1429
_cell_length_b 8.4120
_cell_length_c 12.8841
_cell_angle_alpha 90.34
_cell_angle_beta 90.07
_cell_angle_gamma 94.89
_symmetry_space_group_name_H-M 'P 1'
_symmetry_Int_Tables_number 1
loop_
_symmetry_equiv_pos_as_xyz
'x,y,z'
loop_
_atom_site_label
_atom_site_fract_x
_atom_site_fract_y
_atom_site_fract_z
Li1 0.0000 0.0000 0.0000
Li2 0.0055 0.0004 0.5019
Li3 0.0197 0.6087 0.8509
Li4 0.5452 0.7822 0.2501
Fe1 0.5769 0.5538 0.0027
Fe2 0.5802 0.5589 0.5001
Fe3 0.9712 0.2249 0.2495
Fe4 0.9754 0.2251 0.7485
P1 0.0512 0.3113 0.9989
P2 0.0520 0.3155 0.4972
P3 0.5014 0.4684 0.2502
P4 0.5078 0.4672 0.7501
C1 0.0613 0.9336 0.7525
C2 0.0679 0.9331 0.2478
C3 0.4788 0.8449 0.9932
C4 0.4821 0.8478 0.5011
O1 0.1091 0.7909 0.7621
O2 0.1536 0.7976 0.2477
O3 0.2062 0.4247 0.7628
O4 0.2066 0.4135 0.2494
O5 0.2346 0.0595 0.2474
O6 0.2423 0.0508 0.7477
O7 0.3131 0.7162 0.9878
O8 0.3136 0.7228 0.5015
O9 0.3473 0.3639 0.0006
O10 0.3466 0.3701 0.4934
O11 0.3930 0.9797 0.9959
O12 0.3992 0.9840 0.4998
O13 0.5683 0.5692 0.6536
O14 0.5703 0.5832 0.3425
O15 0.5707 0.5787 0.1555
O16 0.6089 0.5718 0.8439
O17 0.6421 0.3098 0.7469
O18 0.6470 0.3161 0.2505
O19 0.7229 0.8160 0.9989
O20 0.7245 0.8169 0.4996
O21 0.8248 0.9625 0.2483
O22 0.8283 0.9814 0.7471
O23 0.9053 0.4672 0.4964
O24 0.9151 0.4689 0.9922
O25 0.9712 0.2052 0.0930
O26 0.9796 0.1995 0.4054
O27 0.9837 0.1988 0.9055
O28 0.9937 0.2082 0.5932
# DFT total energy	-301.303	eV/cell
# spin magnetization	0.364	μB per atom

=====

4.
# LiFePCO7 | the Materials Project database | PBE+U | relaxed
data_LiFePCO7
_cell_length_a 5.1665
_cell_length_b 10.5912
_cell_length_c 10.6551
_cell_angle_alpha 74.76
_cell_angle_beta 85.88
_cell_angle_gamma 85.88
_symmetry_space_group_name_H-M 'P 1'
_symmetry_Int_Tables_number 1
loop_
_symmetry_equiv_pos_as_xyz
'x,y,z'
loop_
_atom_site_label
_atom_site_fract_x
_atom_site_fract_y
_atom_site_fract_z
Li1 0.0000 0.0000 0.0000
Li2 0.0010 0.5008 0.5036
Li3 0.4583 0.6389 0.1424
Li4 0.9806 0.1545 0.4582
Fe1 0.0271 0.3591 0.8658
Fe2 0.0301 0.8625 0.3678
Fe3 0.4231 0.7788 0.7824
Fe4 0.4257 0.2785 0.2776
P1 0.4929 0.9846 0.4876
P2 0.4986 0.4816 0.9854
P3 0.9528 0.1519 0.1623
P4 0.9529 0.6566 0.6621
C1 0.5243 0.4144 0.4319
C2 0.5236 0.9235 0.9251
C3 0.9347 0.7140 0.2219
C4 0.9410 0.2204 0.7179
O1 0.0162 0.6994 0.5121
O2 0.0195 0.5070 0.6953
O3 0.0269 0.0022 0.1993
O4 0.0278 0.1919 0.0150
O5 0.0888 0.2254 0.2456
O6 0.0994 0.7297 0.7396
O7 0.1733 0.2405 0.7457
O8 0.1772 0.7268 0.2359
O9 0.2817 0.4074 0.4111
O10 0.2820 0.9060 0.9124
O11 0.3487 0.4077 0.9108
O12 0.3621 0.9023 0.4115
O13 0.3869 0.1301 0.4464
O14 0.4282 0.9389 0.6349
O15 0.4350 0.4418 0.1357
O16 0.4353 0.6319 0.9506
O17 0.6069 0.9904 0.9939
O18 0.6104 0.4841 0.4969
O19 0.6576 0.1768 0.1899
O20 0.6587 0.6826 0.6910
O21 0.6896 0.3438 0.3740
O22 0.6915 0.8620 0.8614
O23 0.7601 0.2727 0.7830
O24 0.7687 0.7776 0.2846
O25 0.7928 0.4532 0.9584
O26 0.7935 0.9768 0.4536
O27 0.8472 0.6464 0.1544
O28 0.8942 0.1589 0.6372
# DFT total energy	-301.325	eV/cell
# spin magnetization	0.364	μB per atom

=====

5.
# LiFePCO7 | the Materials Project database | PBE+U | relaxed
data_LiFePCO7
_cell_length_a 5.1760
_cell_length_b 8.4032
_cell_length_c 19.2516
_cell_angle_alpha 90.34
_cell_angle_beta 90.10
_cell_angle_gamma 95.17
_symmetry_space_group_name_H-M 'P 1'
_symmetry_Int_Tables_number 1
loop_
_symmetry_equiv_pos_as_xyz
'x,y,z'
loop_
_atom_site_label
_atom_site_fract_x
_atom_site_fract_y
_atom_site_fract_z
Li1 0.0000 0.0000 0.0000
Li2 0.0002 0.0012 0.6639
Li3 0.4592 0.2219 0.8323
Li4 0.4598 0.2231 0.1675
Li5 0.4874 0.8449 0.4123
Li6 0.9913 0.0081 0.3313
Fe1 0.0271 0.7721 0.5023
Fe2 0.0311 0.7771 0.8338
Fe3 0.0321 0.7782 0.1667
Fe4 0.4230 0.4445 0.6657
Fe5 0.4276 0.4448 0.9999
Fe6 0.4280 0.4447 0.3337
P1 0.5003 0.5337 0.8331
P2 0.5015 0.5311 0.4981
P3 0.5024 0.5359 0.1669
P4 0.9534 0.6867 0.6682
P5 0.9586 0.6878 0.0002
P6 0.9611 0.6901 0.3333
C1 0.5177 0.1506 0.3368
C2 0.5230 0.1525 0.9999
C3 0.5227 0.1540 0.6645
C4 0.9364 0.0700 0.8336
C5 0.9366 0.0707 0.1665
C6 0.9387 0.0654 0.4966
O1 0.0176 0.7952 0.6042
O2 0.0186 0.8035 0.2708
O3 0.0236 0.8036 0.7294
O4 0.0251 0.8007 0.9379
O5 0.0272 0.8013 0.0628
O6 0.0558 0.8019 0.3954
O7 0.1009 0.5366 0.6695
O8 0.1019 0.5373 0.3298
O9 0.1065 0.5373 0.9998
O10 0.1713 0.0212 0.5008
O11 0.1780 0.0422 0.8341
O12 0.1783 0.0429 0.1667
O13 0.2773 0.1789 0.3322
O14 0.2812 0.1803 0.9996
O15 0.2812 0.1815 0.6668
O16 0.3521 0.6843 0.8334
O17 0.3543 0.6863 0.1675
O18 0.3675 0.6903 0.4926
O19 0.4168 0.4351 0.5628
O20 0.4247 0.4215 0.4355
O21 0.4311 0.4213 0.1048
O22 0.4331 0.4210 0.8955
O23 0.4336 0.4201 0.7704
O24 0.4399 0.4247 0.2302
O25 0.6007 0.0133 0.3431
O26 0.6109 0.0176 0.0003
O27 0.6110 0.0192 0.6649
O28 0.6600 0.6331 0.6692
O29 0.6641 0.6454 0.3411
O30 0.6654 0.6327 0.0005
O31 0.6851 0.2763 0.3339
O32 0.6869 0.2812 0.6633
O33 0.6883 0.2796 0.9998
O34 0.7550 0.9493 0.4903
O35 0.7707 0.9431 0.8340
O36 0.7707 0.9438 0.1667
O37 0.7933 0.5893 0.8334
O38 0.7954 0.5901 0.1662
O39 0.7980 0.5808 0.4979
O40 0.8483 0.2049 0.8329
O41 0.8485 0.2057 0.1664
O42 0.8898 0.2092 0.4999
# DFT total energy	-451.840	eV/cell
# spin magnetization	0.363	μB per atom

=====

6.
# LiFePCO7 | the Materials Project database | PBE+U | relaxed
data_LiFePCO7
_cell_length_a 8.2413
_cell_length_b 8.2828
_cell_length_c 8.4898
_cell_angle_alpha 94.14
_cell_angle_beta 93.64
_cell_angle_gamma 102.12
_symmetry_space_group_name_H-M 'P 1'
_symmetry_Int_Tables_number 1
loop_
_symmetry_equiv_pos_as_xyz
'x,y,z'
loop_
_atom_site_label
_atom_site_fract_x
_atom_site_fract_y
_atom_site_fract_z
Li1 0.0000 0.0000 0.0000
Li2 0.0283 0.5108 0.7733
Li3 0.5208 0.0114 0.7797
Li4 0.8463 0.6267 0.1773
Fe1 0.2349 0.7197 0.2247
Fe2 0.2838 0.2731 0.5519
Fe3 0.7260 0.2181 0.2240
Fe4 0.7774 0.7687 0.5520
P1 0.0123 0.0045 0.3112
P2 0.4981 0.9865 0.4668
P3 0.5112 0.4965 0.3120
P4 0.9929 0.4919 0.4642
C1 0.2271 0.2221 0.8349
C2 0.2828 0.7729 0.9377
C3 0.7504 0.7288 0.8498
C4 0.7831 0.2820 0.9378
O1 0.0496 0.5741 0.3123
O2 0.0617 0.8693 0.1961
O3 0.1291 0.4348 0.5649
O4 0.1428 0.1386 0.7083
O5 0.1593 0.6533 0.9608
O6 0.1654 0.1435 0.3676
O7 0.1916 0.1854 0.9708
O8 0.3237 0.8194 0.8058
O9 0.3450 0.3409 0.7994
O10 0.3452 0.8459 0.4104
O11 0.3666 0.8502 0.0671
O12 0.3756 0.5589 0.2159
O13 0.4431 0.1171 0.5787
O14 0.4506 0.4330 0.4686
O15 0.5631 0.3621 0.2029
O16 0.5763 0.0528 0.3189
O17 0.6197 0.9177 0.5780
O18 0.6562 0.6458 0.7305
O19 0.6705 0.1522 0.9576
O20 0.6701 0.6393 0.3551
O21 0.7331 0.6882 0.9891
O22 0.8339 0.3255 0.8078
O23 0.8461 0.3452 0.4100
O24 0.8517 0.3702 0.0695
O25 0.8624 0.8535 0.8163
O26 0.8918 0.0739 0.1989
O27 0.9318 0.9300 0.4550
O28 0.9354 0.6174 0.5819
# DFT total energy	-301.321	eV/cell
# spin magnetization	0.364	μB per atom

=====

7.
# LiFePCO7 | the Materials Project database | PBE+U | relaxed
data_LiFePCO7
_cell_length_a 5.1461
_cell_length_b 6.3204
_cell_length_c 8.8742
_cell_angle_alpha 86.99
_cell_angle_beta 87.39
_cell_angle_gamma 87.02
_symmetry_space_group_name_H-M 'P -1'
_symmetry_Int_Tables_number 2
loop_
_symmetry_equiv_pos_as_xyz
'x,y,z'
'-x,-y,-z'
loop_
_atom_site_label
_atom_site_fract_x
_atom_site_fract_y
_atom_site_fract_z
Li1 0.1986 0.4684 0.2266
Fe1 0.2913 0.7549 0.6465
P1 0.1901 0.2585 0.5730
C1 0.2296 0.7285 0.9357
O1 0.0287 0.7643 0.8538
O2 0.0927 0.7826 0.4684
O3 0.1765 0.4484 0.6772
O4 0.2154 0.7157 0.0779
O5 0.3145 0.0617 0.6551
O6 0.3510 0.3185 0.4240
O7 0.4502 0.7077 0.8600
# DFT total energy	-150.933	eV/cell
# spin magnetization	0.364	μB per atom

=====

8.
# LiFePCO7 | the Materials Project database | PBE+U | relaxed
data_LiFePCO7
_cell_length_a 5.2126
_cell_length_b 6.4389
_cell_length_c 8.6526
_cell_angle_alpha 90.00
_cell_angle_beta 94.17
_cell_angle_gamma 90.00
_symmetry_space_group_name_H-M 'P 1 21 1'
_symmetry_Int_Tables_number 4
loop_
_symmetry_equiv_pos_as_xyz
'x,y,z'
'-x,y+1/2,-z'
loop_
_atom_site_label
_atom_site_fract_x
_atom_site_fract_y
_atom_site_fract_z
Li1 0.2028 0.0000 0.2842
Fe1 0.2133 0.2659 0.8515
P1 0.2662 0.7732 0.9236
C1 0.2786 0.2711 0.5655
O1 0.0516 0.2803 0.6182
O2 0.1366 0.7872 0.0797
O3 0.1734 0.5809 0.8294
O4 0.2055 0.9657 0.8231
O5 0.3119 0.2329 0.4262
O6 0.4373 0.2585 0.0358
O7 0.4669 0.2961 0.6715
# DFT total energy	-150.816	eV/cell
# spin magnetization	0.364	μB per atom

=====

9.
# LiFePCO7 | the Materials Project database | PBE+U | relaxed
data_LiFePCO7
_cell_length_a 8.2396
_cell_length_b 8.2534
_cell_length_c 9.5094
_cell_angle_alpha 107.03
_cell_angle_beta 107.30
_cell_angle_gamma 102.41
_symmetry_space_group_name_H-M 'P 1'
_symmetry_Int_Tables_number 1
loop_
_symmetry_equiv_pos_as_xyz
'x,y,z'
loop_
_atom_site_label
_atom_site_fract_x
_atom_site_fract_y
_atom_site_fract_z
Li1 0.0000 0.0000 0.0000
Li2 0.1353 0.6311 0.2195
Li3 0.4979 0.4996 0.9986
Li4 0.8549 0.5525 0.3962
Fe1 0.0129 0.0145 0.4449
Fe2 0.1290 0.6263 0.7804
Fe3 0.5089 0.5095 0.4491
Fe4 0.6243 0.1227 0.7709
P1 0.2648 0.7669 0.5327
P2 0.3708 0.3679 0.6895
P3 0.7727 0.2701 0.5353
P4 0.8733 0.8667 0.6868
C1 0.3205 0.8168 0.0729
C2 0.3242 0.3143 0.1550
C3 0.8168 0.3231 0.0659
C4 0.8170 0.8141 0.1548
O1 0.1317 0.6474 0.5793
O2 0.1505 0.8365 0.4165
O3 0.1836 0.6787 0.0388
O4 0.2114 0.2043 0.0203
O5 0.2232 0.2188 0.5371
O6 0.2989 0.4860 0.7989
O7 0.3049 0.2943 0.2811
O8 0.3374 0.6476 0.4234
O9 0.3479 0.8442 0.9537
O10 0.4136 0.9144 0.6834
O11 0.4239 0.9209 0.2138
O12 0.4578 0.4518 0.1832
O13 0.4871 0.2970 0.8014
O14 0.4915 0.4887 0.6366
O15 0.6426 0.1520 0.5826
O16 0.6751 0.3614 0.4310
O17 0.6831 0.1801 0.0237
O18 0.7048 0.7025 0.0204
O19 0.7312 0.7101 0.5319
O20 0.7925 0.9784 0.7901
O21 0.8023 0.7913 0.2821
O22 0.8489 0.1548 0.4302
O23 0.8490 0.3382 0.9433
O24 0.9089 0.4391 0.2052
O25 0.9233 0.4158 0.6904
O26 0.9500 0.9509 0.1823
O27 0.9884 0.7978 0.8027
O28 0.9951 0.9842 0.6334
# DFT total energy	-301.220	eV/cell
# spin magnetization	0.364	μB per atom

=====

10.
# LiFePCO7 | the Materials Project database | PBE+U | relaxed
data_LiFePCO7
_cell_length_a 5.2029
_cell_length_b 6.4301
_cell_length_c 8.4552
_cell_angle_alpha 90.00
_cell_angle_beta 95.87
_cell_angle_gamma 90.00
_symmetry_space_group_name_H-M 'P 1 21/m 1'
_symmetry_Int_Tables_number 11
loop_
_symmetry_equiv_pos_as_xyz
'x,y,z'
'-x,-y,-z'
'-x,y+1/2,-z'
'x,-y+1/2,z'
loop_
_atom_site_label
_atom_site_fract_x
_atom_site_fract_y
_atom_site_fract_z
Li1 0.2282 0.2500 0.1115
Fe1 0.1994 0.7500 0.3341
P1 0.2651 0.2500 0.4236
C1 0.2975 0.7500 0.0441
O1 0.0565 0.7500 0.0690
O2 0.1174 0.2500 0.5719
O3 0.1995 0.0626 0.3105
O4 0.3853 0.7500 0.9105
O5 0.4434 0.7500 0.5188
O6 0.4607 0.7500 0.1723
# DFT total energy	-150.691	eV/cell
# spin magnetization	0.364	μB per atom